# 1
First-principles (PBE) data for a geometry-optimized GdPt structure, as listed in Materials Project.

Values from the calculation:
ρ = 12718 kg/m³
E_form = -1230 meV per atom
crystal system = orthorhombic
space-group type = Pnma (62)

abc: 4.519 5.652 7.204
angles: 90.00 90.00 90.00
Positions (direct):
Gd: 0.750 0.642 0.318
Gd: 0.250 0.358 0.682
Gd: 0.250 0.142 0.182
Gd: 0.750 0.858 0.818
Pt: 0.750 0.156 0.456
Pt: 0.250 0.656 0.044
Pt: 0.750 0.344 0.956
Pt: 0.250 0.844 0.544


# 2
First-principles (PBE) data for a geometry-optimized LiCu6OF11 structure, as listed in Materials Project.

Values from the calculation:
ρ = 4403 kg/m³
distance to the lowest polymorph of the same formula = 30 meV per atom
E_form = -1773 meV per atom
crystal system = triclinic
space-group type = P1 (1)

abc: 5.418 4.623 9.278
angles: 92.34 94.37 87.03
Positions (direct):
F: 0.674 0.814 0.914
F: 0.265 0.141 0.075
F: 0.889 0.723 0.567
F: 0.464 0.309 0.736
F: 0.051 0.778 0.257
F: 0.393 0.808 0.584
F: 0.980 0.226 0.725
F: 0.619 0.211 0.417
F: 0.770 0.292 0.092
F: 0.122 0.288 0.413
F: 0.185 0.656 0.926
Cu: 0.824 0.495 0.332
Cu: 0.957 0.956 0.026
Cu: 0.341 0.987 0.336
Cu: 0.489 0.652 0.064
Cu: 0.685 0.020 0.652
Cu: 0.183 0.513 0.637
O: 0.550 0.708 0.257
Li: 0.246 0.243 0.881


# 3
First-principles (PBE) data for a geometry-optimized SrEuNb4O12 structure, as listed in Materials Project.

Values from the calculation:
ρ = 5215 kg/m³
E_form = -3166 meV per atom
crystal system = orthorhombic
space-group type = Amm2 (38)

abc: 5.648 5.648 8.016
angles: 90.00 90.00 89.46
Positions (direct):
O: 0.024 0.466 0.000
O: 0.226 0.226 0.280
O: 0.719 0.281 0.746
O: 0.781 0.781 0.781
O: 0.967 0.530 0.500
O: 0.719 0.281 0.254
O: 0.281 0.719 0.746
O: 0.781 0.781 0.219
O: 0.466 0.024 0.000
O: 0.226 0.226 0.720
O: 0.281 0.719 0.254
O: 0.530 0.967 0.500
Eu: 0.491 0.491 0.500
Sr: 0.009 0.009 0.000
Nb: 0.501 0.998 0.750
Nb: 0.998 0.501 0.750
Nb: 0.501 0.998 0.250
Nb: 0.998 0.501 0.250


# 4
First-principles (PBE) data for a geometry-optimized VN structure, as listed in Materials Project.

Values from the calculation:
ρ = 6519 kg/m³
E_form = -664 meV per atom
crystal system = cubic
space-group type = Pm-3m (221)

abc: 2.548 2.548 2.548
angles: 90.00 90.00 90.00
Positions (direct):
V: 0.000 0.000 0.000
N: 0.500 0.500 0.500


# 5
First-principles (PBE) data for a geometry-optimized Rb2Sb2OF10 structure, as listed in Materials Project.

Values from the calculation:
ρ = 3780 kg/m³
E_form = -2832 meV per atom
crystal system = monoclinic
space-group type = P2_1/c (14)

abc: 15.584 8.203 11.175
angles: 49.75 90.00 90.00
Positions (direct):
F: 0.308 0.063 0.622
F: 0.814 0.525 0.986
F: 0.995 0.760 0.280
F: 0.686 0.525 0.486
F: 0.314 0.475 0.514
F: 0.290 0.602 0.773
F: 0.298 0.208 0.872
F: 0.210 0.602 0.273
F: 0.495 0.240 0.220
F: 0.015 0.153 0.186
F: 0.798 0.792 0.628
F: 0.627 0.123 0.827
F: 0.873 0.123 0.327
F: 0.192 0.063 0.122
F: 0.130 0.931 0.890
F: 0.630 0.069 0.610
F: 0.127 0.877 0.673
F: 0.790 0.398 0.727
F: 0.186 0.475 0.014
F: 0.870 0.069 0.110
F: 0.505 0.760 0.780
F: 0.485 0.153 0.686
F: 0.496 0.189 0.006
F: 0.004 0.189 0.506
F: 0.005 0.240 0.720
F: 0.808 0.937 0.878
F: 0.644 0.605 0.676
F: 0.202 0.208 0.372
F: 0.702 0.792 0.128
F: 0.692 0.937 0.378
F: 0.373 0.877 0.173
F: 0.504 0.811 0.994
F: 0.515 0.847 0.314
F: 0.856 0.605 0.176
F: 0.356 0.395 0.324
F: 0.985 0.847 0.814
F: 0.996 0.811 0.494
F: 0.370 0.931 0.390
F: 0.144 0.395 0.824
F: 0.710 0.398 0.227
Rb: 0.543 0.465 0.329
Rb: 0.457 0.535 0.671
Rb: 0.957 0.465 0.829
Rb: 0.316 0.785 0.968
Rb: 0.816 0.215 0.532
Rb: 0.684 0.215 0.032
Rb: 0.043 0.535 0.171
Rb: 0.184 0.785 0.468
Sb: 0.072 0.068 0.693
Sb: 0.428 0.068 0.193
Sb: 0.572 0.932 0.807
Sb: 0.243 0.330 0.952
Sb: 0.928 0.932 0.307
Sb: 0.257 0.330 0.452
Sb: 0.743 0.670 0.548
Sb: 0.757 0.670 0.048
O: 0.343 0.294 0.074
O: 0.843 0.706 0.426
O: 0.157 0.294 0.574
O: 0.657 0.706 0.926


# 6
First-principles (PBE) data for a geometry-optimized Li3Y14Ti14S14O35 structure, as listed in Materials Project.

Values from the calculation:
ρ = 4142 kg/m³
E_form = -3212 meV per atom
crystal system = triclinic
space-group type = P-1 (2)

abc: 8.638 11.657 12.173
angles: 84.04 82.07 77.18
Positions (direct):
O: 0.274 0.797 0.942
O: 0.841 0.797 0.087
O: 0.720 0.000 0.928
O: 0.000 0.000 0.500
O: 0.558 0.796 0.015
O: 0.303 0.202 0.700
O: 0.877 0.186 0.844
O: 0.442 0.204 0.985
O: 0.845 0.798 0.587
O: 0.270 0.799 0.442
O: 0.582 0.202 0.272
O: 0.447 0.186 0.487
O: 0.702 0.799 0.802
O: 0.140 0.000 0.787
O: 0.586 0.202 0.773
O: 0.155 0.202 0.413
O: 0.428 0.000 0.360
O: 0.572 0.000 0.640
O: 0.131 0.798 0.656
O: 0.726 0.203 0.058
O: 0.869 0.202 0.344
O: 0.123 0.814 0.156
O: 0.280 0.000 0.072
O: 0.298 0.201 0.198
O: 0.984 0.798 0.373
O: 0.697 0.798 0.300
O: 0.414 0.798 0.227
O: 0.983 0.814 0.871
O: 0.553 0.814 0.513
O: 0.418 0.798 0.728
O: 0.017 0.186 0.129
O: 0.159 0.203 0.913
O: 0.860 0.000 0.213
O: 0.730 0.201 0.558
O: 0.016 0.202 0.627
Ti: 0.623 0.836 0.658
Ti: 0.197 0.836 0.795
Ti: 0.954 0.161 0.488
Ti: 0.471 0.836 0.365
Ti: 0.529 0.164 0.635
Ti: 0.663 0.164 0.920
Ti: 0.337 0.836 0.080
Ti: 0.757 0.836 0.943
Ti: 0.103 0.165 0.771
Ti: 0.377 0.164 0.342
Ti: 0.046 0.839 0.512
Ti: 0.243 0.164 0.057
Ti: 0.897 0.835 0.229
Ti: 0.803 0.164 0.205
S: 0.165 0.409 0.043
S: 0.743 0.409 0.184
S: 0.118 0.588 0.530
S: 0.601 0.410 0.898
S: 0.455 0.408 0.612
S: 0.313 0.408 0.330
S: 0.882 0.412 0.470
S: 0.545 0.592 0.388
S: 0.023 0.408 0.757
S: 0.257 0.591 0.816
S: 0.835 0.591 0.957
S: 0.687 0.592 0.670
S: 0.399 0.590 0.102
S: 0.977 0.592 0.243
Y: 0.046 0.332 0.263
Y: 0.190 0.332 0.547
Y: 0.525 0.665 0.881
Y: 0.094 0.671 0.024
Y: 0.620 0.331 0.406
Y: 0.380 0.669 0.594
Y: 0.475 0.335 0.119
Y: 0.333 0.335 0.833
Y: 0.906 0.329 0.976
Y: 0.765 0.331 0.690
Y: 0.810 0.668 0.453
Y: 0.954 0.668 0.737
Y: 0.667 0.665 0.167
Y: 0.235 0.669 0.310
Li: 0.500 0.000 0.500
Li: 0.072 0.000 0.147
Li: 0.928 0.000 0.853


# 7
First-principles (PBE) data for a geometry-optimized Cs2TlAsI6 structure, as listed in Materials Project.

Values from the calculation:
ρ = 4532 kg/m³
E_form = -1064 meV per atom
crystal system = cubic
space-group type = Fm-3m (225)

abc: 8.781 8.781 8.781
angles: 60.00 60.00 60.00
Positions (direct):
I: 0.233 0.233 0.767
I: 0.767 0.767 0.233
I: 0.767 0.233 0.767
I: 0.233 0.767 0.233
I: 0.767 0.233 0.233
I: 0.233 0.767 0.767
Cs: 0.750 0.750 0.750
Cs: 0.250 0.250 0.250
Tl: 0.500 0.500 0.500
As: 0.000 0.000 0.000


# 8
First-principles (PBE) data for a geometry-optimized Al3Pt structure, as listed in Materials Project.

Values from the calculation:
ρ = 7452 kg/m³
E_form = -441 meV per atom
crystal system = tetragonal
space-group type = I4/mmm (139)

abc: 4.841 4.841 4.841
angles: 131.95 131.95 70.31
Positions (direct):
Al: 0.750 0.250 0.500
Al: 0.250 0.750 0.500
Al: 0.500 0.500 0.000
Pt: 0.000 0.000 0.000